## Zr2N2O (GGA-PBE)

Data for a relaxed structure of Zr2N2O.

abc: 8.8536 8.8799 8.8829
angles: 109.57 109.47 109.26
Fractional coordinates of all 40 atoms:
O 0.0146 0.9641 0.2392
O 0.5125 0.2731 0.0448
O 0.5460 0.0092 0.2738
O 0.7631 0.7266 0.7734
O 0.2298 0.7809 0.2635
O 0.2763 0.5308 0.5489
O 0.2740 0.2616 0.7294
O 0.7713 0.2245 0.7350
Zr 0.4615 0.2164 0.2581
Zr 0.9892 0.4979 0.4979
Zr 0.2144 0.2505 0.4611
Zr 0.5081 0.5166 0.0076
Zr 0.0391 0.2861 0.7492
Zr 0.2415 0.0252 0.7841
Zr 0.7532 0.9686 0.2155
Zr 0.4971 0.9949 0.5074
Zr 0.7473 0.4641 0.7131
Zr 0.7850 0.7503 0.5288
Zr 0.9604 0.7059 0.2485
Zr 0.0070 0.0092 0.9964
Zr 0.2791 0.7400 0.0220
Zr 0.2518 0.5315 0.2810
Zr 0.5392 0.7982 0.7569
Zr 0.7163 0.2550 0.9691
N 0.7245 0.4650 0.4500
N 0.0286 0.5423 0.7720
N 0.5309 0.7610 0.4892
N 0.2305 0.9577 0.9904
N 0.9579 0.2252 0.4665
N 0.7369 0.5084 0.9632
N 0.4639 0.2339 0.5109
N 0.9864 0.0360 0.7631
N 0.7740 0.0430 0.0117
N 0.9704 0.4566 0.2283
N 0.2361 0.2707 0.2307
N 0.7297 0.7401 0.2706
N 0.2627 0.4885 0.0354
N 0.4831 0.7239 0.9494
N 0.4584 0.9940 0.7286
N 0.0482 0.7725 0.5354

Properties
Total energy in eV per formula unit: -48.98

## TiCu2Te3 (GGA-PBE)

Data for a relaxed structure of TiCu2Te3.

abc: 4.0076 7.1615 10.1775
angles: 96.39 101.35 90.00
Fractional coordinates of all 12 atoms:
Te 0.5821 0.8688 0.1642
Te 0.0876 0.3284 0.1753
Te 0.9124 0.6716 0.8247
Te 0.2476 0.7081 0.4953
Te 0.4179 0.1312 0.8358
Te 0.7524 0.2919 0.5047
Cu 0.9549 0.3466 0.9097
Cu 0.2866 0.0725 0.5733
Cu 0.0451 0.6534 0.0903
Cu 0.7134 0.9275 0.4267
Ti 0.6457 0.5614 0.2915
Ti 0.3543 0.4386 0.7085

Properties
Total energy in eV per formula unit: -27.99

## LiSiBiO4 (GGA-PBE)

Data for a relaxed structure of LiSiBiO4.

abc: 5.3814 10.4743 14.5906
angles: 90.00 90.00 90.00
Fractional coordinates of all 56 atoms:
O 0.5370 0.9619 0.7177
O 0.4630 0.0381 0.2177
O 0.4630 0.4619 0.7177
O 0.8327 0.4733 0.6001
O 0.3864 0.0095 0.0331
O 0.6136 0.9905 0.5331
O 0.0386 0.9205 0.3830
O 0.9547 0.2896 0.7804
O 0.0453 0.7896 0.7804
O 0.9614 0.4205 0.3830
O 0.8327 0.0267 0.1001
O 0.0453 0.7104 0.2804
O 0.4661 0.1898 0.6350
O 0.9547 0.2104 0.2804
O 0.6208 0.7642 0.3688
O 0.1673 0.9733 0.6001
O 0.1673 0.5267 0.1001
O 0.6208 0.7358 0.8688
O 0.5339 0.8102 0.1350
O 0.3792 0.2642 0.3688
O 0.0279 0.7993 0.9675
O 0.0279 0.7007 0.4675
O 0.9721 0.2993 0.9675
O 0.5370 0.5381 0.2177
O 0.0386 0.5795 0.8830
O 0.9721 0.2007 0.4675
O 0.4661 0.3102 0.1350
O 0.5339 0.6898 0.6350
O 0.3792 0.2358 0.8688
O 0.6136 0.5095 0.0331
O 0.9614 0.0795 0.8830
O 0.3864 0.4905 0.5331
Si 0.0757 0.2735 0.3765
Si 0.9243 0.7735 0.3765
Si 0.5540 0.9646 0.1209
Si 0.4460 0.0354 0.6209
Si 0.5540 0.5354 0.6209
Si 0.4460 0.4646 0.1209
Si 0.0757 0.2265 0.8765
Si 0.9243 0.7265 0.8765
Li 0.9479 0.4769 0.9939
Li 0.9479 0.0231 0.4939
Li 0.4426 0.7195 0.2529
Li 0.5574 0.2805 0.7529
Li 0.0521 0.5231 0.4939
Li 0.0521 0.9769 0.9939
Li 0.5574 0.2195 0.2529
Li 0.4426 0.7805 0.7529
Bi 0.0574 0.0169 0.2411
Bi 0.4062 0.7965 0.5032
Bi 0.0574 0.4831 0.7411
Bi 0.9426 0.9831 0.7411
Bi 0.5938 0.2035 0.0032
Bi 0.9426 0.5169 0.2411
Bi 0.4062 0.7035 0.0032
Bi 0.5938 0.2965 0.5032

Properties
M_tot in μB per atom: 0.00
Total energy in eV per formula unit: -45.56

## Rb3NbF12 (GGA-PBE)

Data for a relaxed structure of Rb3NbF12.

abc: 8.0396 8.0396 7.2747
angles: 87.90 87.90 122.35
Fractional coordinates of all 16 atoms:
F 0.2274 0.0548 0.8172
F 0.0829 0.2483 0.1450
F 0.8946 0.4136 0.5122
F 0.7517 0.9171 0.8550
F 0.9171 0.7517 0.8550
F 0.0548 0.2274 0.8172
F 0.1054 0.5864 0.4878
F 0.5864 0.1054 0.4878
F 0.4136 0.8946 0.5122
F 0.9452 0.7726 0.1828
F 0.7726 0.9452 0.1828
F 0.2483 0.0829 0.1450
Rb 0.0000 0.5000 0.0000
Rb 0.5000 0.0000 0.0000
Rb 0.0000 0.0000 0.5000
Nb 0.0000 0.0000 0.0000

Properties
M_tot in μB per atom: 0.00
Total energy in eV per formula unit: -68.96

## Ba2PrTaO6 (GGA-PBE)

Data for a relaxed structure of Ba2PrTaO6.

abc: 6.1302 6.1302 6.1799
angles: 59.98 59.98 60.06
Fractional coordinates of all 10 atoms:
O 0.2714 0.2714 0.7887
O 0.6994 0.2368 0.3044
O 0.7632 0.3006 0.6956
O 0.3006 0.7632 0.6956
O 0.2368 0.6994 0.3044
O 0.7286 0.7286 0.2113
Ba 0.7513 0.7513 0.7447
Ba 0.2487 0.2487 0.2553
Pr 0.0000 0.0000 0.0000
Ta 0.5000 0.5000 0.5000

Properties
Total energy in eV per formula unit: -80.80

## Te6MoW3Se2 (GGA-PBE)

Data for a relaxed structure of Te6MoW3Se2.

abc: 3.4980 3.4980 39.6509
angles: 90.00 90.00 120.00
Fractional coordinates of all 12 atoms:
Te 0.6667 0.3333 0.1404
Te 0.3333 0.6667 0.3280
Te 0.3333 0.6667 0.7040
Te 0.3333 0.6667 0.2356
Te 0.6667 0.3333 0.0475
Te 0.3333 0.6667 0.6111
W 0.3333 0.6667 0.4697
W 0.6667 0.3333 0.6575
W 0.3333 0.6667 0.0939
Se 0.6667 0.3333 0.4287
Se 0.6667 0.3333 0.5106
Mo 0.6667 0.3333 0.2818

Properties
M_tot in μB per atom: 0.00
Total energy in eV per formula unit: -78.29

## PrFe2Si2 (GGA-PBE)

Data for a relaxed structure of PrFe2Si2.

abc: 4.0293 4.0293 5.6792
angles: 110.78 110.78 90.00
Fractional coordinates of all 5 atoms:
Fe 0.7500 0.2500 0.5000
Fe 0.2500 0.7500 0.5000
Pr 0.0000 0.0000 0.0000
Si 0.6418 0.6418 0.2835
Si 0.3582 0.3582 0.7165

Properties
Total energy in eV per formula unit: -35.61

## TmB4Ru4 (GGA-PBE)

Data for a relaxed structure of TmB4Ru4.

abc: 9.1949 9.1949 9.1949
angles: 132.06 132.06 70.13
Fractional coordinates of all 36 atoms:
B 0.0277 0.8368 0.5278
B 0.6632 0.4723 0.4722
B 0.7499 0.0590 0.9722
B 0.9410 0.9132 0.6909
B 0.0001 0.1910 0.5278
B 0.5277 0.9999 0.1909
B 0.7223 0.4132 0.9722
B 0.3090 0.4999 0.4722
B 0.0868 0.7777 0.0278
B 0.4410 0.7501 0.0278
B 0.1632 0.6910 0.1909
B 0.8090 0.3368 0.8091
B 0.2499 0.2777 0.6909
B 0.5868 0.5590 0.3091
B 0.2223 0.2501 0.3091
B 0.5001 0.9723 0.8091
Ru 0.6959 0.1629 0.2350
Ru 0.5541 0.2891 0.9670
Ru 0.0541 0.0871 0.2650
Ru 0.9129 0.1780 0.9670
Ru 0.2109 0.9459 0.0330
Ru 0.9280 0.4609 0.7650
Ru 0.3371 0.8041 0.7650
Ru 0.8371 0.0720 0.5330
Ru 0.1959 0.9609 0.5330
Ru 0.8220 0.7891 0.7350
Ru 0.0391 0.5720 0.2350
Ru 0.7109 0.6780 0.2650
Ru 0.4129 0.4459 0.7350
Ru 0.5391 0.3041 0.4670
Ru 0.4280 0.6629 0.4670
Ru 0.3220 0.5871 0.0330
Tm 0.5000 0.0000 0.5000
Tm 0.0000 0.5000 0.5000
Tm 0.2500 0.2500 0.0000
Tm 0.7500 0.7500 0.0000

Properties
Total energy in eV per formula unit: -72.80

What is the total energy in the second record? -27.99 eV per formula unit

The lowest total energy belongs to which entry? Ba2PrTaO6

Please write out number 6 again, unchanged.
## Te6MoW3Se2 (GGA-PBE)

Data for a relaxed structure of Te6MoW3Se2.

abc: 3.4980 3.4980 39.6509
angles: 90.00 90.00 120.00
Fractional coordinates of all 12 atoms:
Te 0.6667 0.3333 0.1404
Te 0.3333 0.6667 0.3280
Te 0.3333 0.6667 0.7040
Te 0.3333 0.6667 0.2356
Te 0.6667 0.3333 0.0475
Te 0.3333 0.6667 0.6111
W 0.3333 0.6667 0.4697
W 0.6667 0.3333 0.6575
W 0.3333 0.6667 0.0939
Se 0.6667 0.3333 0.4287
Se 0.6667 0.3333 0.5106
Mo 0.6667 0.3333 0.2818

Properties
M_tot in μB per atom: 0.00
Total energy in eV per formula unit: -78.29